Record 1
Computed, not measured: an optimized crystal structure of Mn3In2Sb3O14 at the GGA+U level of DFT.

Computed properties:
- Calculated total energy: -6.5083 eV per atom
- Space group: P1
- Energy above the most stable polymorph in this dataset: 0.000 eV per atom

Cell lengths 7.1362, 12.8624, 7.1356 Å; angles 90.08, 119.55, 73.54 degrees
Closest atoms and distances in Å follow each position.
Element x y z (fractional)
Mn (0.5001, 0.5003, 0.5001)  3 O 2.18-2.45
Mn (0.5002, 0.9997, 0.0000)  3 O 2.19-2.45
Mn (0.4990, 0.2500, 0.7492)  8 O 2.31-2.53
Mn (0.4999, 0.7500, 0.2497)  8 O 2.31-2.52
Mn (0.0002, 0.2500, 0.2503)  4 O 1.96
Mn (0.0002, 0.7500, 0.7500)  4 O 1.96
In (0.5005, 0.4995, 0.0003)  4 O 2.19-2.41
In (0.4998, 0.0001, 0.4999)  4 O 2.19-2.40
In (0.0002, 0.4997, 0.5000)  4 O 2.19-2.39
In (0.9998, 0.0004, 0.9999)  4 O 2.19-2.39
Sb (0.0001, 0.5000, 0.9999)  6 O 1.96-2.01
Sb (0.9999, 0.0000, 0.5002)  6 O 1.96-2.01
Sb (0.0000, 0.7500, 0.2500)  6 O 1.98-2.01
Sb (0.9999, 0.2500, 0.7502)  6 O 1.98-2.00
Sb (0.4999, 0.7500, 0.7500)  6 O 1.98-2.01
Sb (0.5001, 0.2500, 0.2501)  6 O 1.98-2.01
O (0.3736, 0.4401, 0.6873)  2 In 2.19, 2 Mn 2.19-2.31
O (0.3733, 0.9404, 0.1872)  2 Mn 2.19-2.32, 2 In 2.19
O (0.6266, 0.5597, 0.3127)  2 Mn 2.18-2.31, 2 In 2.19
O (0.6264, 0.0599, 0.8126)  2 In 2.19, 2 Mn 2.19-2.31
O (0.0932, 0.5715, 0.8327)  1 Sb 1.96, 1 Mn 2.19
O (0.0930, 0.0716, 0.3328)  1 Sb 1.96, 1 Mn 2.19
O (0.9071, 0.4283, 0.1673)  1 Sb 1.96, 1 Mn 2.19
O (0.9067, 0.9285, 0.6673)  1 Sb 1.96, 1 Mn 2.19
O (0.6683, 0.2830, 0.5484)  2 Sb 1.98
O (0.6679, 0.7836, 0.0477)  2 Sb 1.98
O (0.3321, 0.7164, 0.4522)  2 Sb 1.98
O (0.3317, 0.2171, 0.9516)  2 Sb 1.98
O (0.0745, 0.7938, 0.0352)  1 Mn 1.96, 1 Sb 1.98
O (0.0742, 0.2938, 0.5350)  1 Mn 1.96, 1 Sb 1.98
O (0.6712, 0.7937, 0.6319)  1 Mn 1.96, 1 Sb 1.98
O (0.6718, 0.2939, 0.1326)  1 Mn 1.96, 1 Sb 1.98
O (0.9263, 0.2061, 0.9654)  1 Mn 1.96, 1 Sb 1.98
O (0.9256, 0.7062, 0.4649)  1 Mn 1.96, 1 Sb 1.98
O (0.3284, 0.2063, 0.3679)  1 Mn 1.96, 1 Sb 1.98
O (0.3287, 0.7063, 0.8681)  1 Mn 1.96, 1 Sb 1.98
O (0.6679, 0.5880, 0.8204)  2 Sb 2.01
O (0.6677, 0.0881, 0.3201)  2 Sb 2.01
O (0.0919, 0.5882, 0.2433)  2 Sb 2.00-2.01
O (0.0922, 0.0884, 0.7439)  2 Sb 2.00-2.01
O (0.3321, 0.4119, 0.1796)  2 Sb 2.01
O (0.3321, 0.9120, 0.6796)  2 Sb 2.01
O (0.9077, 0.4117, 0.7562)  2 Sb 2.00-2.01
O (0.9080, 0.9118, 0.2566)  2 Sb 2.01

=====

Record 2
Computed, not measured: an optimized crystal structure of Li5Fe8B8O24 at the GGA+U level of DFT.

Computed properties:
- Calculated total energy: -7.0595 eV per atom
- Space group: P1
- Energy above the most stable polymorph in this dataset: 0.008 eV per atom

Cell lengths 5.2547, 9.1151, 10.1329 Å; angles 89.06, 88.60, 89.45 degrees
Closest atoms and distances in Å follow each position.
Element x y z (fractional)
Li (0.1513, 0.1742, 0.6654)  4 O 1.93-2.05
Li (0.1860, 0.1625, 0.1583)  4 O 1.91-2.14
Li (0.3245, 0.3300, 0.4045)  4 O 2.00-2.07
Li (0.6830, 0.6623, 0.1454)  3 O 1.91-2.02
Li (0.8161, 0.8335, 0.4177)  4 O 1.96-2.09
Fe (0.1576, 0.8347, 0.6366)  4 O 1.99-2.16
Fe (0.1862, 0.4945, 0.1226)  4 O 1.97-2.17
Fe (0.3349, 0.9932, 0.8788)  5 O 1.91-2.11
Fe (0.3243, 0.6641, 0.3791)  5 O 1.95-2.08
Fe (0.6523, 0.3485, 0.6354)  4 O 2.00-2.21
Fe (0.6857, 0.9971, 0.1254)  4 O 1.98-2.14
Fe (0.8333, 0.1621, 0.3835)  4 O 2.00-2.18
Fe (0.8312, 0.4992, 0.8776)  4 O 1.88-2.04
B (0.1553, 0.4968, 0.6211)  3 O 1.39-1.40
B (0.1699, 0.8303, 0.1330)  3 O 1.35-1.42
B (0.3389, 0.9946, 0.3750)  3 O 1.38-1.41
B (0.3332, 0.6664, 0.8821)  3 O 1.36-1.39
B (0.6692, 0.0068, 0.6280)  3 O 1.37-1.42
B (0.6757, 0.3292, 0.1300)  3 O 1.38-1.41
B (0.8251, 0.5014, 0.3753)  3 O 1.38-1.41
B (0.8267, 0.1657, 0.8761)  3 O 1.38-1.39
O (0.0889, 0.4990, 0.3457)  1 B 1.41
O (0.0851, 0.1448, 0.8584)  1 B 1.38
O (0.2221, 0.7982, 0.8412)  1 B 1.39
O (0.2090, 0.8656, 0.4123)  1 B 1.41
O (0.2088, 0.1266, 0.3665)  1 B 1.38
O (0.1745, 0.5521, 0.9222)  1 B 1.39
O (0.2774, 0.3626, 0.6050)  1 B 1.39
O (0.2952, 0.9572, 0.0850)  1 B 1.41
O (0.2682, 0.6253, 0.5725)  1 B 1.40
O (0.3179, 0.7093, 0.1774)  1 B 1.42
O (0.4145, 0.3236, 0.1407)  1 B 1.38
O (0.4125, 0.0126, 0.6743)  1 B 1.42
O (0.5963, 0.9877, 0.3441)  1 B 1.38
O (0.5907, 0.6522, 0.8887)  1 B 1.36
O (0.7158, 0.3007, 0.8466)  1 B 1.39
O (0.7020, 0.3748, 0.4152)  1 B 1.38
O (0.6917, 0.6329, 0.3603)  1 B 1.39
O (0.6743, 0.0512, 0.9217)  1 B 1.39
O (0.7969, 0.4601, 0.0891)  1 B 1.41
O (0.7911, 0.8757, 0.6079)  1 B 1.37
O (0.7929, 0.1389, 0.5970)  1 B 1.40
O (0.8225, 0.2066, 0.1643)  1 B 1.40
O (0.9127, 0.8231, 0.1393)  1 B 1.35
O (0.9150, 0.5050, 0.6803)  1 B 1.39